This record from the Materials Project database describes Te8Ir3 after structural relaxation. The functional is GGA-PBE.

a = 9.150 Å, b = 9.215 Å, c = 11.331 Å
α = 90.52°, β = 89.97°, γ = 119.77°
Fractional coordinates of all 33 atoms:
1 Te 0.830 0.665 0.206
2 Te 0.416 0.347 0.292
3 Te 0.739 0.256 0.379
4 Te 0.164 0.584 0.292
5 Te 0.515 0.754 0.375
6 Te 0.914 0.085 0.292
7 Te 0.173 0.331 0.538
8 Te 0.747 0.993 0.626
9 Te 0.253 0.007 0.374
10 Te 0.827 0.669 0.462
11 Te 0.086 0.915 0.708
12 Te 0.485 0.246 0.625
13 Te 0.836 0.416 0.708
14 Te 0.261 0.744 0.621
15 Te 0.498 0.999 0.872
16 Te 0.091 0.672 0.960
17 Te 0.584 0.653 0.708
18 Te 0.170 0.335 0.794
19 Te 0.410 0.583 0.043
20 Te 0.826 0.913 0.955
21 Te 0.174 0.087 0.045
22 Te 0.590 0.417 0.957
23 Te 0.909 0.328 0.040
24 Te 0.502 0.001 0.128
25 Ir 0.163 0.832 0.167
26 Ir 0.000 0.500 0.500
27 Ir 0.500 0.000 0.500
28 Ir 0.837 0.168 0.833
29 Ir 0.000 0.000 0.500
30 Ir 0.333 0.166 0.834
31 Ir 0.837 0.667 0.834
32 Ir 0.667 0.834 0.166
33 Ir 0.163 0.333 0.166

Calculated values
**Mass density**: 9.6 g cm⁻³
**ΔH_f (0 K)**: -2.61 eV per formula unit
**Final energy**: -162.804 eV/cell